[1]
{
  "formula": "Be4AlCr",
  "functional": "PBE",
  "state": "optimized geometry",
  "lattice": [[0.000, 3.086, 3.086], [3.086, 0.000, 3.086], [3.086, 3.086, 0.000]],
  "species": ["Be", "Be", "Be", "Be", "Al", "Cr"],
  "fractional_positions": [[0.123, 0.123, 0.123], [0.123, 0.123, 0.630], [0.123, 0.630, 0.123], [0.630, 0.123, 0.123], [0.500, 0.500, 0.500], [0.750, 0.750, 0.750]],
  "polymorph_energy_kj_per_mol_atoms": 2.1,
  "delta_e_f_ev_per_fu": -0.589,
  "total_energy_ha_per_atom": -0.1773,
  "crystal_system": "cubic",
  "sg": "No. 216"
}

***

[2]
{
  "formula": "SmMn8Ni4",
  "functional": "PBE",
  "state": "optimized geometry",
  "lattice": [[-4.230, 4.230, 2.418], [4.230, -4.230, 2.418], [4.230, 4.230, -2.418]],
  "species": ["Sm", "Mn", "Mn", "Mn", "Mn", "Mn", "Mn", "Mn", "Mn", "Ni", "Ni", "Ni", "Ni"],
  "fractional_positions": [[0.000, 0.000, 0.000], [0.000, 0.000, 0.500], [0.000, 0.500, 0.000], [0.261, 0.500, 0.761], [0.500, 0.000, 0.000], [0.500, 0.261, 0.761], [0.500, 0.500, 0.500], [0.500, 0.739, 0.239], [0.739, 0.500, 0.239], [0.000, 0.349, 0.349], [0.000, 0.651, 0.651], [0.349, 0.000, 0.349], [0.651, 0.000, 0.651]],
  "delta_e_f_ev_per_fu": -0.198,
  "total_energy_ha_per_atom": -0.2865,
  "crystal_system": "tetragonal",
  "sg": "No. 139"
}

***

[3]
{
  "formula": "Eu2SiO5",
  "functional": "PBE",
  "state": "optimized geometry",
  "lattice": [[7.397, -3.485, 0.000], [7.397, 3.485, 0.000], [-5.733, 0.000, 9.128]],
  "species": ["Eu", "Eu", "Eu", "Eu", "Eu", "Eu", "Eu", "Eu", "Si", "Si", "Si", "Si", "O", "O", "O", "O", "O", "O", "O", "O", "O", "O", "O", "O", "O", "O", "O", "O", "O", "O", "O", "O"],
  "fractional_positions": [[0.028, 0.261, 0.836], [0.209, 0.714, 0.533], [0.261, 0.028, 0.336], [0.286, 0.791, 0.967], [0.714, 0.209, 0.033], [0.739, 0.972, 0.664], [0.791, 0.286, 0.467], [0.972, 0.739, 0.164], [0.232, 0.407, 0.694], [0.407, 0.232, 0.194], [0.593, 0.768, 0.806], [0.768, 0.593, 0.306], [0.063, 0.348, 0.676], [0.076, 0.891, 0.106], [0.099, 0.660, 0.680], [0.109, 0.924, 0.394], [0.232, 0.368, 0.067], [0.340, 0.901, 0.820], [0.348, 0.063, 0.176], [0.368, 0.232, 0.567], [0.405, 0.411, 0.857], [0.411, 0.405, 0.357], [0.589, 0.595, 0.643], [0.595, 0.589, 0.143], [0.632, 0.768, 0.433], [0.652, 0.937, 0.824], [0.660, 0.099, 0.180], [0.768, 0.632, 0.933], [0.891, 0.076, 0.606], [0.901, 0.340, 0.320], [0.924, 0.109, 0.894], [0.937, 0.652, 0.324]],
  "polymorph_energy_kj_per_mol_atoms": 0.0,
  "delta_e_f_ev_per_fu": -26.246,
  "total_energy_ha_per_atom": -0.3376,
  "crystal_system": "monoclinic",
  "sg": "No. 15"
}

***

[4]
{
  "formula": "CeZn5",
  "functional": "PBE",
  "state": "optimized geometry",
  "lattice": [[5.379, 0.000, 0.000], [-2.689, 4.658, 0.000], [0.000, 0.000, 4.280]],
  "species": ["Ce", "Zn", "Zn", "Zn", "Zn", "Zn"],
  "fractional_positions": [[0.000, 0.000, 0.000], [0.000, 0.500, 0.500], [0.333, 0.667, 0.000], [0.500, 0.000, 0.500], [0.500, 0.500, 0.500], [0.667, 0.333, 0.000]],
  "delta_e_f_ev_per_fu": -1.564,
  "total_energy_ha_per_atom": -0.0845,
  "crystal_system": "hexagonal",
  "sg": "No. 191"
}